1.
{
  "formula": "B2Pb4O7",
  "functional": "PBE-GGA",
  "state": "relaxed",
  "lattice_angstrom": [[15.7628, 0.0000, 0.0000], [0.0000, 5.5494, 5.1037], [0.0000, -5.5494, 5.1037]],
  "species": ["B", "B", "B", "B", "B", "B", "B", "B", "Pb", "Pb", "Pb", "Pb", "Pb", "Pb", "Pb", "Pb", "Pb", "Pb", "Pb", "Pb", "Pb", "Pb", "Pb", "Pb", "O", "O", "O", "O", "O", "O", "O", "O", "O", "O", "O", "O", "O", "O", "O", "O", "O", "O", "O", "O", "O", "O", "O", "O", "O", "O", "O", "O"],
  "frac_coords": [[0.0080, 0.1120, 0.8880], [0.2454, 0.8786, 0.1240], [0.2546, 0.3786, 0.6240], [0.4920, 0.6120, 0.3880], [0.5080, 0.3880, 0.6120], [0.7454, 0.6240, 0.3786], [0.7546, 0.1240, 0.8786], [0.9920, 0.8880, 0.1120], [0.0820, 0.6663, 0.4184], [0.1178, 0.1957, 0.2881], [0.1236, 0.5395, 0.9357], [0.2000, 0.0334, 0.7833], [0.3000, 0.5334, 0.2833], [0.3764, 0.0395, 0.4357], [0.3822, 0.6957, 0.7881], [0.4180, 0.1663, 0.9184], [0.5820, 0.9184, 0.1663], [0.6178, 0.7881, 0.6957], [0.6236, 0.4357, 0.0395], [0.7000, 0.2833, 0.5334], [0.8000, 0.7833, 0.0334], [0.8764, 0.9357, 0.5395], [0.8822, 0.2881, 0.1957], [0.9180, 0.4184, 0.6663], [0.0000, 0.4251, 0.4251], [0.0000, 0.9340, 0.9340], [0.0298, 0.7324, 0.1507], [0.0539, 0.2330, 0.9954], [0.1591, 0.4777, 0.2233], [0.2343, 0.0554, 0.0858], [0.2377, 0.3371, 0.7971], [0.2414, 0.7454, 0.9849], [0.2586, 0.2454, 0.4849], [0.2623, 0.8371, 0.2971], [0.2657, 0.5554, 0.5858], [0.3409, 0.9777, 0.7233], [0.4461, 0.7330, 0.4954], [0.4702, 0.2324, 0.6507], [0.5000, 0.4340, 0.4340], [0.5000, 0.9251, 0.9251], [0.5298, 0.6507, 0.2324], [0.5539, 0.4954, 0.7330], [0.6591, 0.7233, 0.9777], [0.7343, 0.5858, 0.5554], [0.7377, 0.2971, 0.8371], [0.7414, 0.4849, 0.2454], [0.7586, 0.9849, 0.7454], [0.7623, 0.7971, 0.3371], [0.7657, 0.0858, 0.0554], [0.8409, 0.2233, 0.4777], [0.9461, 0.9954, 0.2330], [0.9702, 0.1507, 0.7324]],
  "space_group": "Aea2 (41)"
}

---

2.
{
  "formula": "B11Pb6O27",
  "functional": "PBE-GGA",
  "state": "relaxed",
  "lattice_angstrom": [[11.9172, 0.0000, 0.0000], [-5.9586, 10.3206, 0.0000], [0.0000, 0.0000, 13.3205]],
  "species": ["B", "B", "B", "B", "B", "B", "B", "B", "B", "B", "B", "B", "B", "B", "B", "B", "B", "B", "B", "B", "B", "B", "B", "B", "B", "B", "B", "B", "B", "B", "B", "B", "B", "Pb", "Pb", "Pb", "Pb", "Pb", "Pb", "Pb", "Pb", "Pb", "Pb", "Pb", "Pb", "Pb", "Pb", "Pb", "Pb", "Pb", "Pb", "O", "O", "O", "O", "O", "O", "O", "O", "O", "O", "O", "O", "O", "O", "O", "O", "O", "O", "O", "O", "O", "O", "O", "O", "O", "O", "O", "O", "O", "O", "O", "O", "O", "O", "O", "O", "O", "O", "O", "O", "O", "O", "O", "O", "O", "O", "O", "O", "O", "O", "O", "O", "O", "O", "O", "O", "O", "O", "O", "O", "O", "O", "O", "O", "O", "O", "O", "O", "O", "O", "O", "O", "O", "O", "O", "O", "O", "O", "O", "O", "O"],
  "frac_coords": [[0.0028, 0.0705, 0.0656], [0.0311, 0.9655, 0.9068], [0.0345, 0.0656, 0.5735], [0.0677, 0.9972, 0.3990], [0.1618, 0.7855, 0.1706], [0.2145, 0.3763, 0.8372], [0.2190, 0.4384, 0.3429], [0.2194, 0.7810, 0.6762], [0.2208, 0.1096, 0.0174], [0.2391, 0.6304, 0.2372], [0.2702, 0.1290, 0.5120], [0.3696, 0.6087, 0.9039], [0.3913, 0.7609, 0.5705], [0.5171, 0.0586, 0.8489], [0.5415, 0.4829, 0.1822], [0.5570, 0.1168, 0.3333], [0.5598, 0.4430, 0.6667], [0.5616, 0.7806, 0.0095], [0.5955, 0.2992, 0.7836], [0.6049, 0.3389, 0.2933], [0.6237, 0.8382, 0.5039], [0.6611, 0.2659, 0.9600], [0.7008, 0.2962, 0.4503], [0.7038, 0.4045, 0.1169], [0.7341, 0.3951, 0.6267], [0.8588, 0.7298, 0.8454], [0.8710, 0.1412, 0.1787], [0.8832, 0.4402, 0.0000], [0.8887, 0.7792, 0.3507], [0.8904, 0.1113, 0.6841], [0.9295, 0.9323, 0.7323], [0.9344, 0.9689, 0.2402], [0.9414, 0.4585, 0.5155], [0.1327, 0.4165, 0.0431], [0.1540, 0.7373, 0.9214], [0.2634, 0.0795, 0.7427], [0.2627, 0.4167, 0.5880], [0.2688, 0.2083, 0.2547], [0.2838, 0.8673, 0.3764], [0.4613, 0.0551, 0.0986], [0.4708, 0.3912, 0.9720], [0.5835, 0.7162, 0.7097], [0.5833, 0.8460, 0.2547], [0.5938, 0.5387, 0.4320], [0.6088, 0.0796, 0.6387], [0.7917, 0.0605, 0.9214], [0.8161, 0.7366, 0.0761], [0.9205, 0.1839, 0.4094], [0.9204, 0.5292, 0.3054], [0.9395, 0.7312, 0.5881], [0.9449, 0.4062, 0.7653], [0.9996, 0.8523, 0.4091], [0.0069, 0.0485, 0.4662], [0.0130, 0.5071, 0.9763], [0.0187, 0.5867, 0.4695], [0.0348, 0.7606, 0.1425], [0.0410, 0.4250, 0.5344], [0.0416, 0.9931, 0.7996], [0.0578, 0.0309, 0.2947], [0.0836, 0.3105, 0.8794], [0.1477, 0.1472, 0.0758], [0.1493, 0.8451, 0.6747], [0.1516, 0.6871, 0.2470], [0.1549, 0.3042, 0.3413], [0.1637, 0.0130, 0.9458], [0.1638, 0.6762, 0.7401], [0.1754, 0.5045, 0.2869], [0.1775, 0.1270, 0.5882], [0.2076, 0.0534, 0.4213], [0.2084, 0.4521, 0.7524], [0.2268, 0.9164, 0.2127], [0.2394, 0.2742, 0.8092], [0.2438, 0.7916, 0.0858], [0.2677, 0.6183, 0.1319], [0.2751, 0.6395, 0.9393], [0.3129, 0.4645, 0.9137], [0.3238, 0.4876, 0.4068], [0.3291, 0.8246, 0.6202], [0.3507, 0.7323, 0.4653], [0.3528, 0.1720, 0.0335], [0.3586, 0.0945, 0.5587], [0.3605, 0.6356, 0.6060], [0.3644, 0.7249, 0.2726], [0.3648, 0.2643, 0.4922], [0.3817, 0.6493, 0.7986], [0.3840, 0.9590, 0.8678], [0.4133, 0.4320, 0.1361], [0.4929, 0.5059, 0.6429], [0.4941, 0.9870, 0.3096], [0.4955, 0.6709, 0.9536], [0.5124, 0.8362, 0.0735], [0.5166, 0.3510, 0.7413], [0.5215, 0.1547, 0.7731], [0.5211, 0.1956, 0.2802], [0.5320, 0.4068, 0.2732], [0.5355, 0.8484, 0.5803], [0.5479, 0.7562, 0.4191], [0.5680, 0.9813, 0.8028], [0.5750, 0.6160, 0.2011], [0.5932, 0.1252, 0.9398], [0.6158, 0.3325, 0.8910], [0.6303, 0.2810, 0.0636], [0.6333, 0.4785, 0.1065], [0.6490, 0.1656, 0.4080], [0.6507, 0.3697, 0.3969], [0.6675, 0.2833, 0.5577], [0.6745, 0.4789, 0.6136], [0.6895, 0.7732, 0.5461], [0.6958, 0.8507, 0.0080], [0.7167, 0.3842, 0.2244], [0.7190, 0.3493, 0.7303], [0.7258, 0.9652, 0.4758], [0.7357, 0.1004, 0.1589], [0.7358, 0.6414, 0.8921], [0.8044, 0.3255, 0.9469], [0.8192, 0.6472, 0.3669], [0.8280, 0.1808, 0.7002], [0.8344, 0.4834, 0.0747], [0.8453, 0.3667, 0.4398], [0.8458, 0.7924, 0.7546], [0.8493, 0.8363, 0.2791], [0.8528, 0.0004, 0.7425], [0.8730, 0.0505, 0.2548], [0.8748, 0.4680, 0.6065], [0.8996, 0.6352, 0.8256], [0.9055, 0.2642, 0.2254], [0.9466, 0.1542, 0.0880], [0.9495, 0.8225, 0.9215], [0.9515, 0.9584, 0.1329], [0.9691, 0.0269, 0.9614], [0.9731, 0.9422, 0.6281], [0.9870, 0.1507, 0.6125]],
  "space_group": "P3_2 (145)"
}

---

3.
{
  "formula": "BPbO3",
  "functional": "PBE-GGA",
  "state": "relaxed",
  "lattice_angstrom": [[3.5660, 0.0000, 0.0000], [0.0000, 3.5660, 0.0000], [0.0000, 0.0000, 3.5660]],
  "species": ["B", "Pb", "O", "O", "O"],
  "frac_coords": [[0.0000, 0.0000, 0.0000], [0.5000, 0.5000, 0.5000], [0.0000, 0.0000, 0.5000], [0.0000, 0.5000, 0.0000], [0.5000, 0.0000, 0.0000]],
  "space_group": "Pm-3m (221)"
}

---

4.
{
  "formula": "Zn2B2PbO6",
  "functional": "PBE-GGA",
  "state": "relaxed",
  "lattice_angstrom": [[5.0338, 0.0000, 0.0000], [0.0000, 11.5230, 0.0000], [0.0000, 0.0000, 10.7412]],
  "species": ["Zn", "Zn", "Zn", "Zn", "Zn", "Zn", "Zn", "Zn", "B", "B", "B", "B", "B", "B", "B", "B", "Pb", "Pb", "Pb", "Pb", "O", "O", "O", "O", "O", "O", "O", "O", "O", "O", "O", "O", "O", "O", "O", "O", "O", "O", "O", "O", "O", "O", "O", "O"],
  "frac_coords": [[0.1812, 0.0007, 0.1504], [0.1812, 0.4993, 0.6504], [0.3188, 0.0007, 0.6504], [0.3188, 0.4993, 0.1504], [0.6812, 0.5007, 0.8496], [0.6812, 0.9993, 0.3496], [0.8188, 0.5007, 0.3496], [0.8188, 0.9993, 0.8496], [0.1937, 0.1017, 0.4159], [0.1937, 0.3983, 0.9159], [0.3063, 0.1017, 0.9159], [0.3063, 0.3983, 0.4159], [0.6937, 0.6017, 0.5841], [0.6937, 0.8983, 0.0841], [0.8063, 0.6017, 0.0841], [0.8063, 0.8983, 0.5841], [0.2500, 0.7500, 0.4406], [0.2500, 0.7500, 0.9406], [0.7500, 0.2500, 0.0594], [0.7500, 0.2500, 0.5594], [0.0780, 0.6246, 0.0894], [0.0780, 0.8754, 0.5894], [0.1604, 0.1235, 0.0225], [0.1604, 0.3765, 0.5225], [0.1819, 0.0532, 0.8131], [0.1819, 0.4468, 0.3131], [0.3181, 0.0532, 0.3131], [0.3181, 0.4468, 0.8131], [0.3396, 0.1235, 0.5225], [0.3396, 0.3765, 0.0225], [0.4220, 0.6246, 0.5894], [0.4220, 0.8754, 0.0894], [0.5780, 0.1246, 0.9106], [0.5780, 0.3754, 0.4106], [0.6604, 0.6235, 0.9775], [0.6604, 0.8765, 0.4775], [0.6819, 0.5532, 0.1869], [0.6819, 0.9468, 0.6869], [0.8181, 0.5532, 0.6869], [0.8181, 0.9468, 0.1869], [0.8396, 0.6235, 0.4775], [0.8396, 0.8765, 0.9775], [0.9220, 0.1246, 0.4106], [0.9220, 0.3754, 0.9106]],
  "space_group": "Pccn (56)"
}

---

5.
{
  "formula": "BPdO3",
  "functional": "PBE-GGA",
  "state": "relaxed",
  "lattice_angstrom": [[3.4287, 0.0000, 0.0000], [0.0000, 3.4287, 0.0000], [0.0000, 0.0000, 3.4287]],
  "species": ["B", "Pd", "O", "O", "O"],
  "frac_coords": [[0.0000, 0.0000, 0.0000], [0.5000, 0.5000, 0.5000], [0.0000, 0.0000, 0.5000], [0.0000, 0.5000, 0.0000], [0.5000, 0.0000, 0.0000]],
  "space_group": "Pm-3m (221)"
}

---

6.
{
  "formula": "PrB3O6",
  "functional": "PBE-GGA",
  "state": "relaxed",
  "lattice_angstrom": [[4.9794, -4.1011, 0.0000], [4.9794, 4.1011, 0.0000], [-3.9057, 0.0000, 5.1777]],
  "species": ["Pr", "Pr", "B", "B", "B", "B", "B", "B", "O", "O", "O", "O", "O", "O", "O", "O", "O", "O", "O", "O"],
  "frac_coords": [[0.2010, 0.7990, 0.7500], [0.7990, 0.2010, 0.2500], [0.2053, 0.3412, 0.9162], [0.2225, 0.7775, 0.2500], [0.3412, 0.2053, 0.4162], [0.6588, 0.7947, 0.5838], [0.7775, 0.2225, 0.7500], [0.7947, 0.6588, 0.0838], [0.0093, 0.7808, 0.2873], [0.2104, 0.3837, 0.4971], [0.2115, 0.5840, 0.0084], [0.2192, 0.9907, 0.2127], [0.3837, 0.2104, 0.9971], [0.4160, 0.7885, 0.4916], [0.5840, 0.2115, 0.5084], [0.6163, 0.7896, 0.0029], [0.7808, 0.0093, 0.7873], [0.7885, 0.4160, 0.9916], [0.7896, 0.6163, 0.5029], [0.9907, 0.2192, 0.7127]],
  "space_group": "C2/c (15)"
}

---

Sequential density output: 7.2 5.5 9.7 4.9 6.8 4.2 g/cm³
Sequential formation energy from the elements output: -2.046 -2.098 -1.064 -2.255 -0.557 -3.160 eV/atom
Sequential electronic total energy output: -6.51 -6.89 -5.70 -6.36 -5.48 -8.20 eV per atom